PBE Y2Fe17C, relaxed; ΔE_f = -0.03 eV/atom; M_tot = 37.51 Bohr magnetons per cell
1.0
-3.9181 -4.7764 -1.8657
-2.2197 -1.4677 5.8792
-5.3909 3.4954 -0.3111
Fe C Y
17 1 2
direct
0.3415 0.8501 0.3431
0.0000 0.5000 0.0000
0.7141 0.2859 0.0000
0.2910 0.0000 0.7093
0.8501 0.3415 0.3431
0.1499 0.6585 0.6569
0.0966 0.0966 0.0975
0.0000 0.2910 0.7093
0.9034 0.9034 0.9025
0.0000 0.0000 0.5000
0.0000 0.7090 0.2907
0.3436 0.3436 0.8494
0.6585 0.1499 0.6569
0.5000 0.0000 0.0000
0.7090 0.0000 0.2907
0.2859 0.7141 0.0000
0.6564 0.6564 0.1506
0.5000 0.5000 0.0000
0.3396 0.3396 0.3506
0.6604 0.6604 0.6494

PBE Cd3Pt, relaxed; ΔE_f = -0.19 eV/atom
1.0
5.0136 0.0812 1.7869
0.8085 3.7032 3.7374
-3.6226 -3.8411 -0.6772
Cd Pt
3 1
direct
0.7500 0.2500 0.5000
0.5000 0.5000 0.0000
0.2500 0.7500 0.5000
0.0000 0.0000 0.0000

PBE CaBe2Ge2, relaxed; ΔE_f = -0.26 eV/atom; M_tot = 0.00 Bohr magnetons per cell
1.0
4.0296 0.0000 0.0000
0.0000 4.0296 0.0000
0.0000 0.0000 9.8866
Be Ge Ca
4 4 2
direct
0.0000 0.5000 0.8647
0.5000 0.5000 0.5000
0.5000 0.0000 0.1353
0.0000 0.0000 0.5000
0.5000 0.0000 0.3677
0.0000 0.0000 0.0000
0.0000 0.5000 0.6323
0.5000 0.5000 0.0000
0.5000 0.0000 0.7457
0.0000 0.5000 0.2543

PBE NaMgF3, relaxed; ΔE_f = -3.47 eV/atom; M_tot = 0.00 Bohr magnetons per cell
1.0
1.8376 3.7446 -3.2453
-1.9476 -4.8940 0.4312
-6.9139 2.6788 -0.8240
F Na Mg
6 2 2
direct
0.6265 0.3735 0.0569
0.3735 0.6265 0.9431
0.3735 0.6265 0.5569
0.9288 0.0712 0.2500
0.0712 0.9288 0.7500
0.6265 0.3735 0.4431
0.2571 0.7429 0.2500
0.7429 0.2571 0.7500
0.0000 0.0000 0.0000
0.0000 0.0000 0.5000

PBE Mg3Bi, relaxed; ΔE_f = 0.00 eV/atom; M_tot = 0.00 Bohr magnetons per cell
1.0
-1.6439 2.8720 5.3284
1.6439 -2.8720 5.3284
1.6439 2.8720 -5.3284
Mg Bi
3 1
direct
0.1667 0.5000 0.6667
0.7511 0.7520 0.9991
0.2470 0.2480 0.9991
0.6686 0.0000 0.6686

PBE UH2O4, relaxed; ΔE_f = -2.58 eV/atom; M_tot = 0.00 Bohr magnetons per cell; relative energy among the computed polymorphs = 0.000 eV per formula unit
1.0
-3.8297 -2.0011 4.0348
-4.0288 -1.3279 -4.4827
3.8819 -9.0550 -0.8063
H O U
8 16 4
direct
0.3366 0.8370 0.1727
0.8366 0.8370 0.3273
0.3366 0.6630 0.6727
0.6634 0.3370 0.3273
0.1634 0.1630 0.6727
0.1634 0.3370 0.1727
0.8366 0.6630 0.8273
0.6634 0.1630 0.8273
0.1919 0.2026 0.5766
0.6291 0.0334 0.6669
0.8709 0.9666 0.1669
0.8709 0.5334 0.6669
0.3709 0.9666 0.3331
0.1291 0.4666 0.3331
0.3081 0.7974 0.0766
0.6291 0.4666 0.1669
0.8081 0.7026 0.9234
0.3709 0.5334 0.8331
0.6919 0.2026 0.9234
0.8081 0.7974 0.4234
0.6919 0.2974 0.4234
0.1919 0.2974 0.0766
0.1291 0.0334 0.8331
0.3081 0.7026 0.5766
0.0000 0.5000 0.5000
0.0000 0.0000 0.0000
0.5000 0.0000 0.5000
0.5000 0.5000 0.0000

PBE Mg7VH16, relaxed; ΔE_f = -0.21 eV/atom; M_tot = 0.98 Bohr magnetons per cell
1.0
2.6382 -5.9248 -1.0345
-3.6741 -5.3985 0.7008
-1.7431 -3.4942 -5.2807
Mg H V
7 16 1
direct
0.0000 0.0000 0.5000
0.0000 0.5000 0.0000
0.0000 0.5000 0.5000
0.5000 0.0000 0.0000
0.5000 0.5000 0.0000
0.5000 0.0000 0.5000
0.5000 0.5000 0.5000
0.8843 0.8843 0.3472
0.3717 0.3717 0.8848
0.6283 0.6283 0.1152
0.8843 0.3472 0.8843
0.1157 0.6528 0.1157
0.8848 0.3717 0.3717
0.3717 0.8848 0.3717
0.3472 0.8843 0.8843
0.1152 0.6283 0.6283
0.6283 0.1152 0.6283
0.6528 0.1157 0.1157
0.8843 0.8843 0.8843
0.1157 0.1157 0.1157
0.1157 0.1157 0.6528
0.3717 0.3717 0.3717
0.6283 0.6283 0.6283
0.0000 0.0000 0.0000

PBE LiCu3, relaxed; ΔE_f = -0.03 eV/atom
1.0
2.5621 -4.4376 0.0000
2.5621 4.4376 0.0000
0.0000 0.0000 4.1987
Cu Li
6 2
direct
0.6668 0.8334 0.2500
0.8334 0.1666 0.7500
0.1666 0.3332 0.2500
0.3332 0.1666 0.7500
0.8334 0.6668 0.7500
0.1666 0.8334 0.2500
0.6667 0.3333 0.2500
0.3333 0.6667 0.7500

PBE BaCuO3, relaxed; ΔE_f = -1.66 eV/atom; M_tot = 0.63 Bohr magnetons per cell
1.0
4.0037 0.0000 0.0000
0.0000 4.0037 0.0000
0.0000 0.0000 4.0037
O Cu Ba
3 1 1
direct
0.5000 0.0000 0.0000
0.0000 0.5000 0.0000
0.0000 0.0000 0.5000
0.0000 0.0000 0.0000
0.5000 0.5000 0.5000

PBE Ca2Bi2O5, relaxed; ΔE_f = -2.23 eV/atom; M_tot = 0.00 Bohr magnetons per cell; relative energy among the computed polymorphs = 1.481 eV per formula unit
1.0
-3.0117 -1.1326 -3.0511
-3.9458 -2.2060 4.7138
-4.2808 9.3051 0.7714
Bi O Ca
4 10 4
direct
0.5000 0.2940 0.6113
0.5000 0.7060 0.3887
0.5000 0.7940 0.8887
0.5000 0.2060 0.1113
0.0000 0.2878 0.1107
0.5000 0.0000 0.5000
0.5000 0.5000 0.0000
0.0000 0.7878 0.3893
0.5000 0.3241 0.3053
0.5000 0.1759 0.8053
0.5000 0.6759 0.6947
0.0000 0.2122 0.6107
0.5000 0.8241 0.1947
0.0000 0.7122 0.8893
0.0000 0.6483 0.1290
0.0000 0.8517 0.6290
0.0000 0.3517 0.8710
0.0000 0.1483 0.3710

PBE Er4Ga12Ni, relaxed; ΔE_f = -0.56 eV/atom
1.0
7.2805 1.3983 -0.3246
-3.7265 6.3962 0.5183
-1.4501 -4.1964 5.9459
Ga Er Ni
12 4 1
direct
0.2880 0.2880 0.0000
0.7500 0.2500 0.5000
0.0000 0.7120 0.7120
0.7500 0.5000 0.2500
0.2500 0.7500 0.5000
0.2880 0.0000 0.2880
0.5000 0.2500 0.7500
0.0000 0.2880 0.2880
0.7120 0.7120 0.0000
0.5000 0.7500 0.2500
0.2500 0.5000 0.7500
0.7120 0.0000 0.7120
0.5000 0.0000 0.0000
0.0000 0.5000 0.0000
0.0000 0.0000 0.5000
0.5000 0.5000 0.5000
0.0000 0.0000 0.0000

PBE ThPO5, relaxed; ΔE_f = -3.17 eV/atom; M_tot = 0.01 Bohr magnetons per cell
1.0
3.1981 4.7132 -1.7468
-4.7321 2.2298 2.8511
6.5456 -0.3217 11.1157
O Th P
20 4 4
direct
0.5353 0.4647 0.4476
0.6618 0.0001 0.4220
0.0353 0.9647 0.0524
0.8477 0.1523 0.2483
0.8382 0.4999 0.9220
0.1523 0.8477 0.7517
0.9999 0.3382 0.4220
0.9431 0.0569 0.6309
0.3382 0.9999 0.5780
0.9647 0.0353 0.9476
0.5569 0.4431 0.1309
0.4999 0.8382 0.0780
0.6523 0.3477 0.7483
0.3477 0.6523 0.2517
0.5001 0.1618 0.9220
0.4647 0.5353 0.5524
0.0001 0.6618 0.5780
0.4431 0.5569 0.8691
0.1618 0.5001 0.0780
0.0569 0.9431 0.3691
0.2895 0.7105 0.4243
0.7105 0.2895 0.5757
0.2105 0.7895 0.9243
0.7895 0.2105 0.0757
0.6039 0.3961 0.8617
0.1039 0.8961 0.6383
0.3961 0.6039 0.1383
0.8961 0.1039 0.3617

PBE Mg2Mn3CoS8, relaxed; ΔE_f = -0.98 eV/atom; M_tot = 10.41 Bohr magnetons per cell
1.0
0.6967 -0.0687 7.1548
-4.5334 -3.8472 4.0188
2.3027 -5.9288 3.3238
Mg S Mn Co
2 8 3 1
direct
0.1237 0.1239 0.1237
0.8763 0.8761 0.8763
0.2617 0.2614 0.2613
0.2716 0.7060 0.2708
0.7284 0.2940 0.7293
0.2715 0.2710 0.7060
0.2939 0.7287 0.7291
0.7062 0.2713 0.2709
0.7286 0.7290 0.2939
0.7383 0.7386 0.7387
0.5000 0.5000 0.0000
0.0000 0.5000 0.5000
0.5000 0.0000 0.5000
0.5000 0.5000 0.5000

PBE Cs3NdCl6, relaxed; ΔE_f = -2.52 eV/atom; M_tot = 0.00 Bohr magnetons per cell
1.0
-3.7680 5.3150 5.2947
-8.6078 -9.8177 3.7296
17.0692 -7.4935 19.6696
Cl Cs Nd
48 24 8
direct
0.4370 0.8402 0.9413
0.5630 0.3402 0.9413
0.9485 0.9743 0.1767
0.9485 0.5257 0.6767
0.5630 0.1598 0.0587
0.4004 0.8985 0.7500
0.7769 0.0844 0.9431
0.0515 0.4743 0.1767
0.4575 0.3635 0.1735
0.4575 0.1365 0.8265
0.0515 0.0257 0.8233
0.9485 0.5257 0.8233
0.5996 0.3985 0.7500
0.0327 0.3200 0.9415
0.1251 0.2687 0.7500
0.9673 0.8200 0.5585
0.0327 0.1800 0.0585
0.9485 0.9743 0.3233
0.5425 0.8635 0.3265
0.4370 0.6598 0.4413
0.5425 0.6365 0.8265
0.2231 0.5844 0.5569
0.5425 0.8635 0.1735
0.5996 0.1015 0.2500
0.2231 0.5844 0.9431
0.2231 0.9156 0.0569
0.7769 0.4156 0.0569
0.0327 0.3200 0.5585
0.4370 0.8402 0.5587
0.7769 0.0844 0.5569
0.0515 0.4743 0.3233
0.0327 0.1800 0.4415
0.1251 0.2313 0.2500
0.4575 0.3635 0.3265
0.9673 0.6800 0.0585
0.4004 0.6015 0.2500
0.2231 0.9156 0.4431
0.8749 0.7313 0.2500
0.5425 0.6365 0.6735
0.4575 0.1365 0.6735
0.4370 0.6598 0.0587
0.5630 0.3402 0.5587
0.0515 0.0257 0.6767
0.9673 0.8200 0.9415
0.8749 0.7687 0.7500
0.7769 0.4156 0.4431
0.5630 0.1598 0.4413
0.9673 0.6800 0.4415
0.3094 0.0907 0.3468
0.6906 0.5907 0.1532
0.2606 0.4144 0.4497
0.1827 0.7444 0.1627
0.7394 0.5856 0.5503
0.3094 0.4093 0.6532
0.6906 0.5907 0.3468
0.1827 0.7556 0.8373
0.1827 0.7444 0.3373
0.2606 0.0856 0.5503
0.2606 0.4144 0.0503
0.7394 0.9144 0.0503
0.2606 0.0856 0.9497
0.8173 0.2444 0.3373
0.6906 0.9093 0.6532
0.8173 0.2444 0.1627
0.3094 0.0907 0.1532
0.8173 0.2556 0.8373
0.1827 0.7556 0.6627
0.8173 0.2556 0.6627
0.6906 0.9093 0.8468
0.7394 0.9144 0.4497
0.7394 0.5856 0.9497
0.3094 0.4093 0.8468
0.2586 0.4178 0.2500
0.7414 0.5822 0.7500
0.2586 0.0822 0.7500
0.7879 0.2500 0.0000
0.2121 0.7500 0.5000
0.2121 0.7500 0.0000
0.7414 0.9178 0.2500
0.7879 0.2500 0.5000

Which theoretical density belongs to each record? In order, 7.20 11.51 4.21 3.02 4.65 5.60 1.97 6.87 6.44 6.45 8.26 5.17 3.36 3.25 g/cm3.